Entry A
A relaxed MnP4O12 crystal. Source: Materials Project, functional GGA+U.

Cell: 12.490 8.173 10.042 Å, 90.00 116.08 90.00°
Space group C2/c (No. 15)
Unique sites:
Mn  0.250  0.250  0.000 [4 per cell]
P  0.008  0.243  0.026 [8 per cell]
P  0.177  0.015  0.686 [8 per cell]
O  0.006  0.395  0.400 [8 per cell]
O  0.064  0.101  0.153 [8 per cell]
O  0.079  0.243  0.935 [8 per cell]
O  0.121  0.169  0.577 [8 per cell]
O  0.230  0.071  0.843 [8 per cell]
O  0.236  0.426  0.856 [8 per cell]


Entry B
A relaxed MnP4O12 crystal. Source: Materials Project, functional GGA+U.

Cell: 5.087 13.548 7.182 Å, 90.00 99.08 90.00°
Space group P2_1 (No. 4)
Unique sites:
Mn  0.008  0.000  0.009 [2 per cell]
P  0.274  0.588  0.386 [2 per cell]
P  0.354  0.935  0.407 [2 per cell]
P  0.481  0.361  0.943 [2 per cell]
P  0.497  0.138  0.953 [2 per cell]
O  0.112  0.512  0.256 [2 per cell]
O  0.112  0.975  0.273 [2 per cell]
O  0.137  0.671  0.461 [2 per cell]
O  0.207  0.377  0.997 [2 per cell]
O  0.224  0.122  0.009 [2 per cell]
O  0.281  0.579  0.932 [2 per cell]
O  0.303  0.880  0.573 [2 per cell]
O  0.305  0.928  0.952 [2 per cell]
O  0.427  0.751  0.002 [2 per cell]
O  0.449  0.528  0.551 [2 per cell]
O  0.474  0.367  0.723 [2 per cell]
O  0.489  0.126  0.735 [2 per cell]


Most favorable structure: entry B. The second most favorable one is 19 meV/atom above it.


Entry A
A relaxed MnP4O12 crystal. Source: Materials Project, functional GGA+U.

Cell: 12.738 8.386 9.014 Å, 90.00 90.00 90.00°
Space group Pbcn (No. 60)
Unique sites:
Mn  0.000  0.138  0.250 [4 per cell]
P  0.144  0.313  0.005 [8 per cell]
P  0.150  0.039  0.515 [8 per cell]
O  0.063  0.298  0.130 [8 per cell]
O  0.065  0.031  0.634 [8 per cell]
O  0.118  0.406  0.873 [8 per cell]
O  0.122  0.139  0.380 [8 per cell]
O  0.185  0.133  0.965 [8 per cell]
O  0.250  0.119  0.588 [8 per cell]


Entry B
A relaxed MnP4O12 crystal. Source: Materials Project, functional GGA+U.

Cell: 9.730 13.386 7.673 Å, 90.00 103.90 90.00°
Space group C2/c (No. 15)
Unique sites:
Mn  0.000  0.132  0.250 [4 per cell]
P  0.086  0.338  0.120 [8 per cell]
P  0.123  0.083  0.669 [8 per cell]
O  0.000  0.131  0.750 [4 per cell]
O  0.000  0.390  0.250 [4 per cell]
O  0.028  0.358  0.930 [8 per cell]
O  0.108  0.030  0.164 [8 per cell]
O  0.116  0.228  0.187 [8 per cell]
O  0.126  0.132  0.492 [8 per cell]
O  0.241  0.390  0.186 [8 per cell]


Entry C
A relaxed MnP4O12 crystal. Source: Materials Project, functional GGA+U.

Cell: 7.132 8.774 8.452 Å, 90.00 122.65 90.00°
Space group P2_1/c (No. 14)
Unique sites:
Mn  0.000  0.000  0.000 [2 per cell]
P  0.223  0.209  0.382 [4 per cell]
P  0.466  0.071  0.773 [4 per cell]
O  0.068  0.098  0.230 [4 per cell]
O  0.104  0.176  0.929 [4 per cell]
O  0.282  0.594  0.618 [4 per cell]
O  0.366  0.571  0.284 [4 per cell]
O  0.381  0.222  0.824 [4 per cell]
O  0.391  0.111  0.560 [4 per cell]


Entry D
A relaxed MnP4O12 crystal. Source: Materials Project, functional GGA+U.

Cell: 16.770 12.271 5.147 Å, 90.00 98.63 90.00°
Space group C2/m (No. 12)
Unique sites:
Mn  0.250  0.250  0.000 [4 per cell]
P  0.075  0.211  0.182 [8 per cell]
P  0.181  0.377  0.472 [8 per cell]
O  0.000  0.269  0.000 [4 per cell]
O  0.053  0.114  0.322 [8 per cell]
O  0.099  0.315  0.382 [8 per cell]
O  0.143  0.199  0.012 [8 per cell]
O  0.153  0.500  0.405 [4 per cell]
O  0.205  0.372  0.767 [8 per cell]
O  0.245  0.344  0.311 [8 per cell]


Most favorable structure: entry A. The second most favorable one is 23 meV/atom above it.


Entry A
A relaxed TiMn5P6O24 crystal. Source: Materials Project, functional GGA+U.

Cell: 8.491 8.556 8.639 Å, 119.59 118.71 90.11°
Space group P1 (No. 1)
Unique sites:
Ti  0.000  0.000  0.000 [1 per cell]
Mn  0.368  0.787  0.576 [1 per cell]
Mn  0.435  0.142  0.290 [1 per cell]
Mn  0.505  0.496  0.995 [1 per cell]
Mn  0.870  0.288  0.582 [1 per cell]
Mn  0.936  0.640  0.289 [1 per cell]
P  0.185  0.098  0.493 [1 per cell]
P  0.189  0.683  0.790 [1 per cell]
P  0.193  0.398  0.089 [1 per cell]
P  0.671  0.178  0.069 [1 per cell]
P  0.681  0.599  0.784 [1 per cell]
P  0.695  0.898  0.507 [1 per cell]
O  0.000  0.130  0.470 [1 per cell]
O  0.007  0.523  0.664 [1 per cell]
O  0.013  0.349  0.886 [1 per cell]
O  0.172  0.901  0.469 [1 per cell]
O  0.178  0.697  0.610 [1 per cell]
O  0.180  0.565  0.273 [1 per cell]
O  0.188  0.064  0.299 [1 per cell]
O  0.191  0.878  0.954 [1 per cell]
O  0.200  0.232  0.121 [1 per cell]
O  0.364  0.253  0.694 [1 per cell]
O  0.370  0.654  0.922 [1 per cell]
O  0.377  0.450  0.110 [1 per cell]
O  0.497  0.022  0.850 [1 per cell]
O  0.499  0.633  0.661 [1 per cell]
O  0.506  0.828  0.471 [1 per cell]
O  0.649  0.195  0.242 [1 per cell]
O  0.673  0.406  0.611 [1 per cell]
O  0.677  0.065  0.477 [1 per cell]
O  0.697  0.374  0.096 [1 per cell]
O  0.699  0.591  0.967 [1 per cell]
O  0.728  0.742  0.346 [1 per cell]
O  0.856  0.135  0.096 [1 per cell]
O  0.859  0.760  0.896 [1 per cell]
O  0.864  0.969  0.734 [1 per cell]


Entry B
A relaxed TiMn5P6O24 crystal. Source: Materials Project, functional GGA+U.

Cell: 8.6234 8.6234 21.1876 Å, 90.00 90.00 120.00°
Space group R3 (No. 146, hexagonal axes)
Unique sites:
Ti  0.0000  0.0000  0.0000 [3 per cell]
Mn  0.0000  0.0000  0.2109 [3 per cell]
Mn  0.0000  0.0000  0.3545 [3 per cell]
Mn  0.0000  0.0000  0.4994 [3 per cell]
Mn  0.0000  0.0000  0.7104 [3 per cell]
Mn  0.0000  0.0000  0.8548 [3 per cell]
P  0.0406  0.3729  0.7724 [9 per cell]
P  0.0427  0.6677  0.2717 [9 per cell]
O  0.0045  0.8042  0.5440 [9 per cell]
O  0.0200  0.8359  0.2771 [9 per cell]
O  0.0208  0.1834  0.7758 [9 per cell]
O  0.1377  0.4638  0.8331 [9 per cell]
O  0.1408  0.6731  0.3325 [9 per cell]
O  0.1465  0.4776  0.7130 [9 per cell]
O  0.1692  0.4796  0.0983 [9 per cell]
O  0.1685  0.6855  0.6021 [9 per cell]


Most favorable structure: entry A. The second most favorable one is 10 meV/atom above it.